Entry 1:
This record from Materials Project describes BaSb12Ru4 after structural relaxation. The functional is meta-GGA r2SCAN.

Summary:
- final energy (eV/cell) = -886.32
- formation energy from the elements (kJ per mole of atoms) = -36.82

Cell lengths 9.381, 9.381, 9.381 Å; angles 90.00, 90.00, 90.00 degrees
Space group Im-3 (No. 204)
Unique sites:
Ba 0.000 0.000 0.000 x2
Sb 0.000 0.344 0.160 x24
Ru 0.250 0.250 0.250 x8

***

Entry 2:
This record from Materials Project describes BaS after structural relaxation. The functional is meta-GGA r2SCAN.

Summary:
- final energy (eV/cell) = -156.83
- formation energy from the elements (kJ per mole of atoms) = -225.50

Cell lengths 6.451, 6.451, 6.451 Å; angles 90.00, 90.00, 90.00 degrees
Space group Fm-3m (No. 225)
Unique sites:
Ba 0.000 0.000 0.000 x4
S 0.000 0.000 0.500 x4

***

Entry 3:
This record from Materials Project describes BaS2 after structural relaxation. The functional is meta-GGA r2SCAN.

Summary:
- final energy (eV/cell) = -189.56
- formation energy from the elements (kJ per mole of atoms) = -155.06

Cell lengths 9.371, 4.807, 9.104 Å; angles 90.00, 117.96, 90.00 degrees
Space group C2/c (No. 15)
Unique sites:
Ba 0.000 0.142 0.250 x4
S 0.162 0.354 0.020 x8

***

Entry 4:
This record from Materials Project describes BaS3 after structural relaxation. The functional is meta-GGA r2SCAN.

Summary:
- final energy (eV/cell) = -221.43
- formation energy from the elements (kJ per mole of atoms) = -114.72

Cell lengths 8.552, 10.107, 5.091 Å; angles 90.00, 90.00, 90.00 degrees
Space group P2_12_12 (No. 18)
Unique sites:
Ba 0.000 0.000 0.013 x2
Ba 0.000 0.500 0.972 x2
S 0.190 0.208 0.590 x4
S 0.245 0.009 0.531 x4
S 0.250 0.248 0.980 x4

***

Entry 5:
This record from Materials Project describes BaS3 after structural relaxation. The functional is meta-GGA r2SCAN.

Summary:
- final energy (eV/cell) = -111.06
- formation energy from the elements (kJ per mole of atoms) = -118.92

Cell lengths 6.952, 6.952, 4.216 Å; angles 90.00, 90.00, 90.00 degrees
Space group P-42_1m (No. 113)
Unique sites:
Ba 0.000 0.000 0.000 x2
S 0.000 0.500 0.212 x2
S 0.178 0.322 0.475 x4

***

Entry 6:
This record from Materials Project describes BaSb2S4 after structural relaxation. The functional is meta-GGA r2SCAN.

Summary:
- final energy (eV/cell) = -934.03
- formation energy from the elements (kJ per mole of atoms) = -92.43

Cell lengths 9.068, 8.298, 20.816 Å; angles 90.00, 100.60, 90.00 degrees
Space group P2_1/c (No. 14)
Unique sites:
Ba 0.017 0.054 0.298 x4
Ba 0.479 0.541 0.193 x4
Sb 0.072 0.701 0.968 x4
Sb 0.202 0.520 0.624 x4
Sb 0.346 0.007 0.886 x4
Sb 0.352 0.154 0.501 x4
S 0.007 0.165 0.151 x4
S 0.130 0.004 0.573 x4
S 0.157 0.155 0.962 x4
S 0.242 0.672 0.728 x4
S 0.268 0.155 0.784 x4
S 0.274 0.557 0.915 x4
S 0.425 0.152 0.154 x4
S 0.467 0.711 0.563 x4

***

Entry 7:
This record from Materials Project describes Ba2SiS4 after structural relaxation. The functional is meta-GGA r2SCAN.

Summary:
- final energy (eV/cell) = -426.95
- formation energy from the elements (kJ per mole of atoms) = -176.82

Cell lengths 8.984, 6.823, 12.255 Å; angles 90.00, 90.00, 90.00 degrees
Space group Pnma (No. 62)
Unique sites:
Ba 0.018 0.250 0.172 x4
Ba 0.132 0.750 0.418 x4
Si 0.231 0.750 0.076 x4
S 0.003 0.250 0.906 x4
S 0.177 0.503 0.648 x8
S 0.190 0.250 0.413 x4

***

Entry 8:
This record from Materials Project describes BaSn2S3 after structural relaxation. The functional is meta-GGA r2SCAN.

Summary:
- final energy (eV/cell) = -641.32
- formation energy from the elements (kJ per mole of atoms) = -109.24

Cell lengths 6.230, 13.718, 11.988 Å; angles 90.00, 100.79, 90.00 degrees
Space group P2_1/m (No. 11)
Unique sites:
Ba 0.116 0.250 0.477 x2
Ba 0.207 0.077 0.870 x4
Sn 0.158 0.750 0.900 x2
Sn 0.225 0.549 0.449 x4
Sn 0.374 0.750 0.205 x2
Sn 0.451 0.116 0.227 x4
S 0.033 0.750 0.279 x2
S 0.091 0.079 0.291 x4
S 0.247 0.250 0.072 x2
S 0.256 0.609 0.050 x4
S 0.407 0.071 0.612 x4
S 0.434 0.750 0.624 x2